Record 1
A plane-wave DFT calculation with PBE was carried out for an optimized crystal structure of CsMgPO4.

Cell: 5.5936 9.0612 9.8996 Å, 90.00 90.00 90.00°
Atoms (fractional coordinates):
P 0.7500 0.2945 0.0850
Mg 0.2500 0.8232 0.5813
Cs 0.7500 0.0019 0.8045
O 0.9755 0.7352 0.4896
O 0.7500 0.9646 0.4148
Mg 0.7500 0.1768 0.4187
P 0.7500 0.7945 0.4150
O 0.4755 0.7648 0.9896
O 0.2500 0.0354 0.5852
O 0.7500 0.4646 0.0852
O 0.5245 0.2352 0.0104
O 0.5245 0.7352 0.4896
Cs 0.2500 0.9981 0.1955
Cs 0.7500 0.5019 0.6955
O 0.9755 0.2352 0.0104
O 0.2500 0.5354 0.9148
Mg 0.7500 0.6768 0.0813
O 0.0245 0.7648 0.9896
O 0.2500 0.7638 0.7685
O 0.7500 0.7362 0.2685
P 0.2500 0.7055 0.9150
O 0.4755 0.2648 0.5104
Cs 0.2500 0.4981 0.3045
O 0.2500 0.2638 0.7315
O 0.7500 0.2362 0.2315
P 0.2500 0.2055 0.5850
Mg 0.2500 0.3232 0.9187
O 0.0245 0.2648 0.5104

Calculated formation energy ... -2.91 eV per atom
Total moment ... 0.0 μB per formula unit
Calculated volume ... 17.920 Å³/atom
Space-group type ... No. 62
MP2020-corrected energy ... -6.8704 eV per atom
ρ ... 3.338 g/cm³

***

Record 2
A plane-wave DFT calculation with PBE was carried out for an optimized crystal structure of EuScO3.

Cell: 5.6007 5.8158 8.0231 Å, 90.00 90.00 90.00°
Atoms (fractional coordinates):
Sc 0.5000 0.0000 0.5000
O 0.6964 0.3021 0.9404
Sc 0.0000 0.5000 0.0000
Eu 0.5145 0.5555 0.7500
Eu 0.0145 0.9445 0.2500
O 0.8036 0.8021 0.9404
O 0.3036 0.6979 0.4404
O 0.3865 0.9537 0.7500
O 0.6964 0.3021 0.5596
Sc 0.0000 0.5000 0.5000
O 0.8036 0.8021 0.5596
Eu 0.9855 0.0555 0.7500
O 0.3036 0.6979 0.0596
Sc 0.5000 0.0000 0.0000
Eu 0.4855 0.4445 0.2500
O 0.1964 0.1979 0.0596
O 0.8865 0.5463 0.2500
O 0.1135 0.4537 0.7500
O 0.6135 0.0463 0.2500
O 0.1964 0.1979 0.4404

Calculated formation energy ... -3.53 eV per atom
Total moment ... 6.0 μB per formula unit
Calculated volume ... 13.067 Å³/atom
Space-group type ... No. 62
MP2020-corrected energy ... -9.8188 eV per atom
ρ ... 6.225 g/cm³

***

Record 3
A plane-wave DFT calculation with PBE was carried out for an optimized crystal structure of Re3Sn.

Cell: 5.7273 5.7273 4.5813 Å, 90.00 90.00 120.00°
Atoms (fractional coordinates):
Re 0.3287 0.1644 0.7500
Sn 0.6667 0.3333 0.2500
Re 0.1644 0.8356 0.2500
Re 0.8356 0.6713 0.7500
Re 0.8356 0.1644 0.7500
Sn 0.3333 0.6667 0.7500
Re 0.6713 0.8356 0.2500
Re 0.1644 0.3287 0.2500

Calculated formation energy ... 0.55 eV per atom
Total moment ... 0.0 μB per formula unit
Calculated volume ... 16.268 Å³/atom
Space-group type ... No. 194
ρ ... 17.284 g/cm³
Energy above the most stable polymorph in this dataset ... 0 meV/atom